Record 1
# Li4CrNi3O8 (PBE with a Hubbard U, relaxed)
# Energy = -5.42 eV per atom
# DFT formation energy = -1731 meV per atom
# Energy with MP2020 corrections = -101.91 eV per cell
# Calculated density = 4.54 Mg/m³
# M_tot = 6.0 μB/f.u.
# Space-group type = C2/m
data_Li4CrNi3O8
_cell_length_a 10.1405
_cell_length_b 10.1408
_cell_length_c 14.3539
_cell_angle_alpha 19.35
_cell_angle_beta 19.35
_cell_angle_gamma 33.34
_space_group_name_H-M_alt 'P 1'
_space_group_IT_number 1
loop_
_space_group_symop_operation_xyz
'x,y,z'
loop_
_atom_site_label
_atom_site_fract_x
_atom_site_fract_y
_atom_site_fract_z
_atom_site_occupancy
O1 0.4784 0.4784 0.2851 1
O2 0.4784 0.9994 0.7585 1
O3 0.9994 0.9994 0.7353 1
O4 0.9994 0.4784 0.7586 1
O5 0.5215 0.5216 0.7149 1
O6 0.5216 0.0006 0.2414 1
O7 0.0006 0.5216 0.2414 1
O8 0.0006 0.0006 0.2647 1
Ni1 0.5000 0.0000 0.0000 1
Ni2 0.0000 0.5000 0.0000 1
Ni3 0.5000 0.5000 0.0000 1
Cr1 0.0000 0.0000 0.0000 1
Li1 0.0000 0.5000 0.5000 1
Li2 0.5000 0.0000 0.5000 1
Li3 0.5000 0.5000 0.5000 1
Li4 0.0000 0.0000 0.5000 1

Record 2
# LiVCrP4O14 (PBE with a Hubbard U, relaxed)
# Energy = -7.32 eV per atom
# DFT formation energy = -2643 meV per atom
# Energy with MP2020 corrections = -501.23 eV per cell
# Calculated density = 2.91 Mg/m³
# M_tot = 4.0 μB/f.u.
# Relative energy among the computed polymorphs = 2 meV per atom
# Space-group type = P1
data_LiVCrP4O14
_cell_length_a 7.1700
_cell_length_b 8.0680
_cell_length_c 13.6313
_cell_angle_alpha 90.13
_cell_angle_beta 97.17
_cell_angle_gamma 90.07
_space_group_name_H-M_alt 'P 1'
_space_group_IT_number 1
loop_
_space_group_symop_operation_xyz
'x,y,z'
loop_
_atom_site_label
_atom_site_fract_x
_atom_site_fract_y
_atom_site_fract_z
_atom_site_occupancy
Cr1 0.5574 0.9936 0.8289 1
Cr2 0.8857 0.0021 0.1631 1
Cr3 0.2208 0.0026 0.4946 1
P1 0.2045 0.2176 0.2898 1
P2 0.8680 0.2180 0.9570 1
P3 0.1505 0.3174 0.6256 1
P4 0.1336 0.7185 0.0449 1
P5 0.4659 0.7168 0.3763 1
P6 0.7953 0.7173 0.7101 1
P7 0.5377 0.2162 0.6238 1
P8 0.1831 0.8195 0.7060 1
P9 0.8161 0.3183 0.2923 1
P10 0.4795 0.3221 0.9575 1
P11 0.5214 0.8235 0.0401 1
P12 0.8532 0.8227 0.3745 1
O1 0.2836 0.9588 0.7671 1
O2 0.9572 0.9615 0.4310 1
O3 0.6238 0.9610 0.0996 1
O4 0.2992 0.8515 0.0522 1
O5 0.5266 0.5639 0.4405 1
O6 0.5379 0.8196 0.9307 1
O7 0.1291 0.3253 0.7374 1
O8 0.8711 0.8156 0.2638 1
O9 0.2999 0.8019 0.4140 1
O10 0.3666 0.3542 0.6148 1
O11 0.6967 0.3524 0.9466 1
O12 0.1407 0.0674 0.2272 1
O13 0.9051 0.6517 0.4226 1
O14 0.4228 0.1519 0.9142 1
O15 0.4741 0.0669 0.5604 1
O16 0.6320 0.8504 0.3844 1
O17 0.0326 0.3550 0.2818 1
O18 0.9223 0.1812 0.0655 1
O19 0.4197 0.6639 0.2674 1
O20 0.6333 0.8090 0.7439 1
O21 0.2076 0.8176 0.5967 1
O22 0.7929 0.3344 0.4030 1
O23 0.8126 0.0652 0.8936 1
O24 0.8675 0.5653 0.7725 1
O25 0.7119 0.4597 0.2319 1
O26 0.7521 0.6619 0.6012 1
O27 0.9674 0.8026 0.0827 1
O28 0.3619 0.3187 0.2513 1
O29 0.1940 0.5635 0.1071 1
O30 0.3701 0.4616 0.9010 1
O31 0.6961 0.3172 0.5860 1
O32 0.5716 0.6519 0.0887 1
O33 0.2320 0.6477 0.7509 1
O34 0.0456 0.4596 0.5669 1
O35 0.0842 0.6688 0.9353 1
O36 0.0277 0.3122 0.9144 1
O37 0.0974 0.1473 0.5853 1
O38 0.5891 0.1755 0.7323 1
O39 0.9641 0.8523 0.7162 1
O40 0.4613 0.3320 0.0691 1
O41 0.2581 0.1800 0.3985 1
O42 0.7632 0.1481 0.2531 1
Li1 0.8379 0.6384 0.1668 1
Li2 0.1581 0.1358 0.8330 1
Li3 0.1732 0.6374 0.5003 1
V1 0.1144 0.5045 0.8375 1
V2 0.7748 0.4921 0.5046 1
V3 0.4436 0.4928 0.1700 1

- Which value of M_tot does entry 2 give?
  4.0 μB/f.u.

Please write out number 2 again, unchanged.
# LiVCrP4O14 (PBE with a Hubbard U, relaxed)
# Energy = -7.32 eV per atom
# DFT formation energy = -2643 meV per atom
# Energy with MP2020 corrections = -501.23 eV per cell
# Calculated density = 2.91 Mg/m³
# M_tot = 4.0 μB/f.u.
# Relative energy among the computed polymorphs = 2 meV per atom
# Space-group type = P1
data_LiVCrP4O14
_cell_length_a 7.1700
_cell_length_b 8.0680
_cell_length_c 13.6313
_cell_angle_alpha 90.13
_cell_angle_beta 97.17
_cell_angle_gamma 90.07
_space_group_name_H-M_alt 'P 1'
_space_group_IT_number 1
loop_
_space_group_symop_operation_xyz
'x,y,z'
loop_
_atom_site_label
_atom_site_fract_x
_atom_site_fract_y
_atom_site_fract_z
_atom_site_occupancy
Cr1 0.5574 0.9936 0.8289 1
Cr2 0.8857 0.0021 0.1631 1
Cr3 0.2208 0.0026 0.4946 1
P1 0.2045 0.2176 0.2898 1
P2 0.8680 0.2180 0.9570 1
P3 0.1505 0.3174 0.6256 1
P4 0.1336 0.7185 0.0449 1
P5 0.4659 0.7168 0.3763 1
P6 0.7953 0.7173 0.7101 1
P7 0.5377 0.2162 0.6238 1
P8 0.1831 0.8195 0.7060 1
P9 0.8161 0.3183 0.2923 1
P10 0.4795 0.3221 0.9575 1
P11 0.5214 0.8235 0.0401 1
P12 0.8532 0.8227 0.3745 1
O1 0.2836 0.9588 0.7671 1
O2 0.9572 0.9615 0.4310 1
O3 0.6238 0.9610 0.0996 1
O4 0.2992 0.8515 0.0522 1
O5 0.5266 0.5639 0.4405 1
O6 0.5379 0.8196 0.9307 1
O7 0.1291 0.3253 0.7374 1
O8 0.8711 0.8156 0.2638 1
O9 0.2999 0.8019 0.4140 1
O10 0.3666 0.3542 0.6148 1
O11 0.6967 0.3524 0.9466 1
O12 0.1407 0.0674 0.2272 1
O13 0.9051 0.6517 0.4226 1
O14 0.4228 0.1519 0.9142 1
O15 0.4741 0.0669 0.5604 1
O16 0.6320 0.8504 0.3844 1
O17 0.0326 0.3550 0.2818 1
O18 0.9223 0.1812 0.0655 1
O19 0.4197 0.6639 0.2674 1
O20 0.6333 0.8090 0.7439 1
O21 0.2076 0.8176 0.5967 1
O22 0.7929 0.3344 0.4030 1
O23 0.8126 0.0652 0.8936 1
O24 0.8675 0.5653 0.7725 1
O25 0.7119 0.4597 0.2319 1
O26 0.7521 0.6619 0.6012 1
O27 0.9674 0.8026 0.0827 1
O28 0.3619 0.3187 0.2513 1
O29 0.1940 0.5635 0.1071 1
O30 0.3701 0.4616 0.9010 1
O31 0.6961 0.3172 0.5860 1
O32 0.5716 0.6519 0.0887 1
O33 0.2320 0.6477 0.7509 1
O34 0.0456 0.4596 0.5669 1
O35 0.0842 0.6688 0.9353 1
O36 0.0277 0.3122 0.9144 1
O37 0.0974 0.1473 0.5853 1
O38 0.5891 0.1755 0.7323 1
O39 0.9641 0.8523 0.7162 1
O40 0.4613 0.3320 0.0691 1
O41 0.2581 0.1800 0.3985 1
O42 0.7632 0.1481 0.2531 1
Li1 0.8379 0.6384 0.1668 1
Li2 0.1581 0.1358 0.8330 1
Li3 0.1732 0.6374 0.5003 1
V1 0.1144 0.5045 0.8375 1
V2 0.7748 0.4921 0.5046 1
V3 0.4436 0.4928 0.1700 1

- Which value of calculated density does entry 1 give?
  4.54 Mg/m³